## Co21B6Mo2 (PBE)

Data for a relaxed Co21B6Mo2 crystal.

a b c (Å): 7.3911 7.3911 7.3911
angles (deg): 60.00 60.00 60.00
Positions (direct):
Co 0.0000 0.0000 0.0000
Co 0.0000 0.0000 0.3386
Co 0.0000 0.0000 0.6614
Co 0.0000 0.3386 0.0000
Co 0.0000 0.3386 0.6614
Co 0.0000 0.6614 0.0000
Co 0.0000 0.6614 0.3386
Co 0.1460 0.6180 0.6180
Co 0.3386 0.0000 0.0000
Co 0.3386 0.0000 0.6614
Co 0.3386 0.6614 0.0000
Co 0.3820 0.3820 0.3820
Co 0.3820 0.3820 0.8540
Co 0.3820 0.8540 0.3820
Co 0.6180 0.1460 0.6180
Co 0.6180 0.6180 0.1460
Co 0.6180 0.6180 0.6180
Co 0.6614 0.0000 0.0000
Co 0.6614 0.0000 0.3386
Co 0.6614 0.3386 0.0000
Co 0.8540 0.3820 0.3820
B 0.2746 0.2746 0.7254
B 0.2746 0.7254 0.2746
B 0.2746 0.7254 0.7254
B 0.7254 0.2746 0.2746
B 0.7254 0.2746 0.7254
B 0.7254 0.7254 0.2746
Mo 0.2500 0.2500 0.2500
Mo 0.7500 0.7500 0.7500

Properties
- SG = Fm-3m, No. 225
- uncorrected energy (eV/atom) = -7.490

## Rb4MgH12Se8O24 (PBE)

Data for a relaxed Rb4MgH12Se8O24 crystal.

a b c (Å): 6.3621 6.5176 21.7032
angles (deg): 90.00 94.64 90.00
Positions (direct):
Rb 0.0085 0.0000 0.3726
Rb 0.4399 0.4911 0.1202
Rb 0.5601 0.4911 0.8798
Rb 0.9915 0.0000 0.6274
Mg 0.0000 0.5226 0.5000
H 0.0740 0.1656 0.9523
H 0.1182 0.4184 0.3926
H 0.2380 0.6956 0.7588
H 0.2676 0.7911 0.2592
H 0.3208 0.3610 0.4386
H 0.3632 0.9621 0.8659
H 0.6368 0.9621 0.1341
H 0.6792 0.3610 0.5614
H 0.7324 0.7911 0.7408
H 0.7620 0.6956 0.2412
H 0.8818 0.4184 0.6074
H 0.9260 0.1656 0.0477
Se 0.0015 0.9237 0.1240
Se 0.0210 0.4256 0.2469
Se 0.3843 0.5880 0.6065
Se 0.4869 0.0722 0.7456
Se 0.5131 0.0722 0.2544
Se 0.6157 0.5880 0.3935
Se 0.9790 0.4256 0.7531
Se 0.9985 0.9237 0.8760
O 0.0104 0.4467 0.3246
O 0.0311 0.1728 0.0833
O 0.1012 0.7542 0.0789
O 0.1629 0.3815 0.4372
O 0.1868 0.6935 0.5560
O 0.2157 0.5617 0.7823
O 0.2195 0.5819 0.2281
O 0.2757 0.8959 0.8986
O 0.2802 0.9123 0.7272
O 0.2911 0.9323 0.2807
O 0.4280 0.3496 0.5782
O 0.4704 0.0616 0.1759
O 0.5296 0.0616 0.8241
O 0.5720 0.3496 0.4218
O 0.7089 0.9323 0.7193
O 0.7198 0.9123 0.2728
O 0.7243 0.8959 0.1014
O 0.7805 0.5819 0.7719
O 0.7843 0.5617 0.2177
O 0.8132 0.6935 0.4440
O 0.8371 0.3815 0.5628
O 0.8988 0.7542 0.9211
O 0.9689 0.1728 0.9167
O 0.9896 0.4467 0.6754

Properties
- SG = P2, No. 3
- M_tot (μB per formula unit) = 2.000
- energy relative to the lowest polymorph listed for this composition (eV per atom) = 0.000
- uncorrected energy (eV/atom) = -5.003

## RbAl6H20N5F24 (PBE)

Data for a relaxed RbAl6H20N5F24 crystal.

a b c (Å): 5.3384 5.3791 18.6095
angles (deg): 88.70 89.56 89.01
Positions (direct):
Rb 0.0000 0.0000 0.0000
Al 0.1679 0.2350 0.4926
Al 0.4060 0.0979 0.8346
Al 0.4782 0.9144 0.1571
Al 0.6513 0.7264 0.4818
Al 0.8978 0.5958 0.8289
Al 0.9979 0.4215 0.1673
H 0.0428 0.0480 0.7339
H 0.0718 0.8882 0.3535
H 0.1176 0.5801 0.3398
H 0.1715 0.6994 0.4199
H 0.2766 0.4593 0.0297
H 0.2779 0.5645 0.6530
H 0.3658 0.7685 0.3530
H 0.4618 0.2432 0.3083
H 0.4834 0.9376 0.2407
H 0.5025 0.3456 0.9769
H 0.5345 0.6244 0.0229
H 0.5367 0.3496 0.0675
H 0.5593 0.2506 0.6092
H 0.6773 0.2793 0.5893
H 0.7703 0.9571 0.6975
H 0.8184 0.2615 0.7138
H 0.8342 0.8760 0.5720
H 0.8771 0.8342 0.2446
H 0.9157 0.5247 0.9820
H 0.9896 0.1317 0.6502
N 0.1805 0.7334 0.3659
N 0.3902 0.6355 0.6932
N 0.4684 0.4457 0.0233
N 0.6097 0.3191 0.3367
N 0.8991 0.0948 0.6992
F 0.0494 0.4432 0.2554
F 0.1397 0.8547 0.8440
F 0.1423 0.3549 0.8491
F 0.1565 0.2196 0.4018
F 0.1569 0.2544 0.5856
F 0.2310 0.1876 0.1393
F 0.2395 0.6653 0.1433
F 0.3743 0.1252 0.7441
F 0.4089 0.4969 0.4896
F 0.4137 0.9724 0.4984
F 0.4337 0.0892 0.9298
F 0.5250 0.9220 0.0636
F 0.6552 0.8474 0.8306
F 0.6562 0.3484 0.8338
F 0.6733 0.7966 0.3926
F 0.7090 0.7480 0.5873
F 0.7508 0.2128 0.1446
F 0.7594 0.6744 0.1601
F 0.8445 0.6025 0.9302
F 0.9038 0.4939 0.4874
F 0.9158 0.9798 0.5037
F 0.9198 0.5946 0.7374
F 0.9733 0.4763 0.0405
F 0.9769 0.9711 0.2553

Properties
- SG = P1, No. 1
- M_tot (μB per formula unit) = 4.000
- energy relative to the lowest polymorph listed for this composition (eV per atom) = 0.052
- uncorrected energy (eV/atom) = -4.973

## LiMnPd2 (PBE)

Data for a relaxed LiMnPd2 crystal.

a b c (Å): 6.1318 6.1318 6.1318
angles (deg): 90.00 90.00 90.00
Positions (direct):
Li 0.0000 0.0000 0.0000
Li 0.0000 0.5000 0.5000
Li 0.5000 0.0000 0.5000
Li 0.5000 0.5000 0.0000
Mn 0.0000 0.0000 0.5000
Mn 0.0000 0.5000 0.0000
Mn 0.5000 0.0000 0.0000
Mn 0.5000 0.5000 0.5000
Pd 0.2500 0.2500 0.2500
Pd 0.2500 0.2500 0.7500
Pd 0.2500 0.7500 0.2500
Pd 0.2500 0.7500 0.7500
Pd 0.7500 0.2500 0.2500
Pd 0.7500 0.2500 0.7500
Pd 0.7500 0.7500 0.2500
Pd 0.7500 0.7500 0.7500

Properties
- SG = Fm-3m, No. 225
- uncorrected energy (eV/atom) = -5.723

## CrN2 (PBE)

Data for a relaxed CrN2 crystal.

a b c (Å): 16.2326 16.2326 16.2326
angles (deg): 159.82 124.78 59.40
Positions (direct):
Cr 0.0513 0.6050 0.4463
Cr 0.0778 0.7168 0.3610
Cr 0.0969 0.0578 0.0391
Cr 0.1442 0.2832 0.8610
Cr 0.2065 0.4565 0.7500
Cr 0.2757 0.0257 0.2500
Cr 0.3412 0.3950 0.9463
Cr 0.4812 0.9422 0.5391
Cr 0.5188 0.0578 0.4609
Cr 0.6588 0.6050 0.0537
Cr 0.7243 0.9743 0.7500
Cr 0.7935 0.5435 0.2500
Cr 0.8558 0.7168 0.1390
Cr 0.9031 0.9422 0.9609
Cr 0.9222 0.2832 0.6390
Cr 0.9487 0.3950 0.5537
N 0.0000 0.0000 0.0000
N 0.0490 0.2990 0.7500
N 0.0768 0.4206 0.6563
N 0.0884 0.3362 0.2520
N 0.0877 0.6653 0.4224
N 0.0884 0.8364 0.7521
N 0.1306 0.0000 0.6306
N 0.1306 0.5000 0.1306
N 0.2137 0.0592 0.1545
N 0.2402 0.2396 0.4994
N 0.2402 0.7408 0.0006
N 0.2571 0.3347 0.9224
N 0.2643 0.4206 0.8437
N 0.4048 0.0592 0.3455
N 0.4157 0.1636 0.7520
N 0.4157 0.6638 0.2521
N 0.5000 0.0000 0.5000
N 0.5843 0.3362 0.7479
N 0.5843 0.8364 0.2480
N 0.5952 0.9408 0.6545
N 0.7357 0.5794 0.1563
N 0.7429 0.6653 0.0776
N 0.7598 0.2592 0.9994
N 0.7598 0.7604 0.5006
N 0.7863 0.9408 0.8455
N 0.8694 0.0000 0.3694
N 0.8694 0.5000 0.8694
N 0.9116 0.1636 0.2479
N 0.9123 0.3347 0.5776
N 0.9116 0.6638 0.7480
N 0.9232 0.5794 0.3437
N 0.9510 0.7010 0.2500

Properties
- SG = Imma, No. 74
- M_tot (μB per formula unit) = 0.001
- uncorrected energy (eV/atom) = -8.618

## LuGaNi2 (PBE)

Data for a relaxed LuGaNi2 crystal.

a b c (Å): 5.1313 5.1313 15.8456
angles (deg): 90.00 90.00 120.00
Positions (direct):
Lu 0.3333 0.6667 0.0424
Lu 0.3333 0.6667 0.2500
Lu 0.3333 0.6667 0.4576
Lu 0.6667 0.3333 0.5424
Lu 0.6667 0.3333 0.7500
Lu 0.6667 0.3333 0.9576
Ga 0.0000 0.0000 0.0000
Ga 0.0000 0.0000 0.2500
Ga 0.0000 0.0000 0.5000
Ga 0.0000 0.0000 0.7500
Ga 0.3333 0.6667 0.7500
Ga 0.6667 0.3333 0.2500
Ni 0.1685 0.3370 0.6257
Ni 0.1685 0.3370 0.8743
Ni 0.1685 0.8315 0.6257
Ni 0.1685 0.8315 0.8743
Ni 0.3370 0.1685 0.1257
Ni 0.3370 0.1685 0.3743
Ni 0.6630 0.8315 0.6257
Ni 0.6630 0.8315 0.8743
Ni 0.8315 0.1685 0.1257
Ni 0.8315 0.1685 0.3743
Ni 0.8315 0.6630 0.1257
Ni 0.8315 0.6630 0.3743

Properties
- SG = P6_3/mmc, No. 194
- uncorrected energy (eV/atom) = -5.381